{"formula": "ZnCu2SnTe4", "functional": "PBE", "state": "relaxed", "final_energy_ev_per_fu": -27.8, "energy_mp2020_ev_per_atom": -3.690, "formation_energy_ev_per_atom": -0.435, "magmom_total_mub_per_fu": 0.00, "lattice_angstrom": [[-3.083, 3.083, 6.189], [3.083, -3.083, 6.189], [3.083, 3.083, -6.189]], "species": ["Zn", "Cu", "Cu", "Sn", "Te", "Te", "Te", "Te"], "frac_coords": [[0.000, 0.000, 0.000], [0.250, 0.750, 0.500], [0.750, 0.250, 0.500], [0.500, 0.500, 0.000], [0.102, 0.102, 0.479], [0.377, 0.898, 0.000], [0.623, 0.623, 0.521], [0.898, 0.377, 0.000]]}

=====

{"formula": "ThCu5Sn", "functional": "PBE", "state": "relaxed", "final_energy_ev_per_fu": -33.5, "formation_energy_ev_per_atom": -0.233, "lattice_angstrom": [[8.357, 0.000, 0.000], [0.000, 5.104, 0.000], [0.000, 0.000, 10.609]], "species": ["Th", "Th", "Th", "Th", "Cu", "Cu", "Cu", "Cu", "Cu", "Cu", "Cu", "Cu", "Cu", "Cu", "Cu", "Cu", "Cu", "Cu", "Cu", "Cu", "Cu", "Cu", "Cu", "Cu", "Sn", "Sn", "Sn", "Sn"], "frac_coords": [[0.250, 0.250, 0.057], [0.250, 0.750, 0.557], [0.750, 0.250, 0.443], [0.750, 0.750, 0.943], [0.067, 0.250, 0.606], [0.072, 0.502, 0.813], [0.072, 0.998, 0.813], [0.081, 0.750, 0.018], [0.180, 0.750, 0.245], [0.320, 0.250, 0.745], [0.419, 0.250, 0.518], [0.428, 0.002, 0.313], [0.428, 0.498, 0.313], [0.433, 0.750, 0.106], [0.567, 0.250, 0.894], [0.572, 0.502, 0.687], [0.572, 0.998, 0.687], [0.581, 0.750, 0.482], [0.680, 0.750, 0.255], [0.820, 0.250, 0.755], [0.919, 0.250, 0.982], [0.928, 0.002, 0.187], [0.928, 0.498, 0.187], [0.933, 0.750, 0.394], [0.135, 0.250, 0.359], [0.365, 0.750, 0.859], [0.635, 0.250, 0.141], [0.865, 0.750, 0.641]]}

=====

{"formula": "Th4Cu6Sn7", "functional": "PBE", "state": "relaxed", "final_energy_ev_per_fu": -87.1, "formation_energy_ev_per_atom": -0.281, "magmom_total_mub_per_fu": 0.06, "lattice_angstrom": [[4.420, 0.000, 0.000], [0.000, 4.420, 0.000], [0.000, 0.000, 19.768]], "species": ["Th", "Th", "Th", "Th", "Cu", "Cu", "Cu", "Cu", "Cu", "Cu", "Sn", "Sn", "Sn", "Sn", "Sn", "Sn", "Sn"], "frac_coords": [[0.000, 0.000, 0.000], [0.000, 0.000, 0.483], [0.500, 0.500, 0.220], [0.500, 0.500, 0.727], [0.000, 0.000, 0.260], [0.000, 0.000, 0.795], [0.000, 0.500, 0.117], [0.000, 0.500, 0.600], [0.500, 0.000, 0.117], [0.500, 0.000, 0.600], [0.000, 0.000, 0.669], [0.000, 0.500, 0.352], [0.000, 0.500, 0.871], [0.500, 0.000, 0.352], [0.500, 0.000, 0.871], [0.500, 0.500, 0.041], [0.500, 0.500, 0.522]]}

=====

{"formula": "Ti3CuSn", "functional": "PBE", "state": "relaxed", "final_energy_ev_per_fu": -30.9, "formation_energy_ev_per_atom": 0.187, "magmom_total_mub_per_fu": 0.13, "lattice_angstrom": [[4.704, 0.000, 0.000], [-2.352, 4.074, 0.000], [0.000, 0.000, 5.077]], "species": ["Ti", "Ti", "Ti", "Cu", "Sn"], "frac_coords": [[0.000, 0.000, 0.000], [0.333, 0.667, 0.233], [0.333, 0.667, 0.767], [0.000, 0.000, 0.500], [0.667, 0.333, 0.000]]}

=====

{"formula": "Ti5CuSn3", "functional": "PBE", "state": "relaxed", "final_energy_ev_per_fu": -58.7, "formation_energy_ev_per_atom": -0.348, "lattice_angstrom": [[8.225, 0.000, 0.000], [-4.113, 7.123, 0.000], [0.000, 0.000, 5.538]], "species": ["Ti", "Ti", "Ti", "Ti", "Ti", "Ti", "Ti", "Ti", "Ti", "Ti", "Cu", "Cu", "Sn", "Sn", "Sn", "Sn", "Sn", "Sn"], "frac_coords": [[0.000, 0.270, 0.250], [0.000, 0.730, 0.750], [0.270, 0.000, 0.250], [0.270, 0.270, 0.750], [0.333, 0.667, 0.000], [0.333, 0.667, 0.500], [0.667, 0.333, 0.000], [0.667, 0.333, 0.500], [0.730, 0.000, 0.750], [0.730, 0.730, 0.250], [0.000, 0.000, 0.000], [0.000, 0.000, 0.500], [0.000, 0.382, 0.750], [0.000, 0.618, 0.250], [0.382, 0.000, 0.750], [0.382, 0.382, 0.250], [0.618, 0.000, 0.250], [0.618, 0.618, 0.750]]}

=====

{"formula": "Ti10CuSn6", "functional": "PBE", "state": "relaxed", "final_energy_ev_per_fu": -112.7, "formation_energy_ev_per_atom": -0.330, "magmom_total_mub_per_fu": 1.06, "lattice_angstrom": [[8.160, 0.000, 0.000], [-4.080, 7.067, 0.000], [0.000, 0.000, 5.503]], "species": ["Ti", "Ti", "Ti", "Ti", "Ti", "Ti", "Ti", "Ti", "Ti", "Ti", "Cu", "Sn", "Sn", "Sn", "Sn", "Sn", "Sn"], "frac_coords": [[0.000, 0.262, 0.240], [0.000, 0.738, 0.760], [0.262, 0.000, 0.240], [0.262, 0.262, 0.760], [0.333, 0.667, 0.000], [0.333, 0.667, 0.500], [0.667, 0.333, 0.000], [0.667, 0.333, 0.500], [0.738, 0.000, 0.760], [0.738, 0.738, 0.240], [0.000, 0.000, 0.500], [0.000, 0.386, 0.745], [0.000, 0.614, 0.255], [0.386, 0.000, 0.745], [0.386, 0.386, 0.255], [0.614, 0.000, 0.255], [0.614, 0.614, 0.745]]}